DFT (GGA+U) results for a geometry-optimized Li7Fe2P7O24 structure.

Cell: 15.063 5.087 12.111 Å, 90.00 96.27 90.00°
Sites, in units of the cell vectors:
Li1 0.000 0.200 0.250
Li2 0.000 0.800 0.750
Li3 0.093 0.331 0.931
Li4 0.093 0.669 0.431
Li5 0.363 0.298 0.115
Li6 0.363 0.702 0.615
Li7 0.447 0.245 0.483
Li8 0.447 0.755 0.983
Li9 0.553 0.245 0.017
Li10 0.553 0.755 0.517
Li11 0.637 0.298 0.385
Li12 0.637 0.702 0.885
Li13 0.907 0.331 0.569
Li14 0.907 0.669 0.069
Fe1 0.218 0.131 0.296
Fe2 0.218 0.869 0.796
Fe3 0.782 0.131 0.204
Fe4 0.782 0.869 0.704
P1 0.106 0.366 0.691
P2 0.106 0.634 0.191
P3 0.226 0.118 0.547
P4 0.226 0.882 0.047
P5 0.360 0.369 0.841
P6 0.360 0.631 0.341
P7 0.500 0.048 0.750
P8 0.500 0.952 0.250
P9 0.640 0.369 0.659
P10 0.640 0.631 0.159
P11 0.774 0.118 0.953
P12 0.774 0.882 0.453
P13 0.894 0.366 0.809
P14 0.894 0.634 0.309
O1 0.022 0.479 0.628
O2 0.022 0.521 0.128
O3 0.099 0.083 0.735
O4 0.099 0.917 0.235
O5 0.141 0.448 0.288
O6 0.141 0.552 0.788
O7 0.156 0.033 0.451
O8 0.156 0.967 0.951
O9 0.182 0.367 0.606
O10 0.182 0.633 0.106
O11 0.243 0.102 0.135
O12 0.243 0.898 0.635
O13 0.281 0.185 0.843
O14 0.281 0.815 0.343
O15 0.311 0.224 0.509
O16 0.311 0.776 0.009
O17 0.332 0.363 0.290
O18 0.332 0.637 0.790
O19 0.418 0.250 0.746
O20 0.418 0.750 0.246
O21 0.420 0.374 0.951
O22 0.420 0.626 0.451
O23 0.485 0.100 0.142
O24 0.485 0.900 0.642
O25 0.515 0.100 0.358
O26 0.515 0.900 0.858
O27 0.580 0.374 0.549
O28 0.580 0.626 0.049
O29 0.582 0.250 0.754
O30 0.582 0.750 0.254
O31 0.668 0.363 0.210
O32 0.668 0.637 0.710
O33 0.689 0.224 0.991
O34 0.689 0.776 0.491
O35 0.719 0.185 0.657
O36 0.719 0.815 0.157
O37 0.757 0.102 0.365
O38 0.757 0.898 0.865
O39 0.818 0.367 0.894
O40 0.818 0.633 0.394
O41 0.844 0.033 0.049
O42 0.844 0.967 0.549
O43 0.859 0.448 0.212
O44 0.859 0.552 0.712
O45 0.901 0.083 0.765
O46 0.901 0.917 0.265
O47 0.978 0.479 0.872
O48 0.978 0.521 0.372

Summary:
Volume (Å³ per atom): 11.531
Formation enthalpy at 0 K (eV/atom): -2.551
Space-group type: P2/c